a.
The following is a PBE+U calculation of a relaxed structure of ZnCr2O4, from the Materials Project.

Cell lengths 2.9405, 9.6675, 9.9536 Å; angles 90.00, 90.00, 90.00 degrees
Fractional coordinates of all 28 atoms:
Zn  0.6703  0.8544  0.2500
Zn  0.6703  0.6456  0.7500
Zn  0.3297  0.3544  0.2500
Zn  0.3297  0.1456  0.7500
Cr  0.2312  0.6169  0.4297
Cr  0.2312  0.8831  0.9297
Cr  0.7688  0.3831  0.9297
Cr  0.2312  0.8831  0.5703
Cr  0.7688  0.3831  0.5703
Cr  0.2312  0.6169  0.0703
Cr  0.7688  0.1169  0.0703
Cr  0.7688  0.1169  0.4297
O  0.7323  0.4818  0.1103
O  0.2677  0.5182  0.8897
O  0.7279  0.7500  0.0000
O  0.2677  0.9818  0.1103
O  0.2677  0.9818  0.3897
O  0.1823  0.7889  0.7500
O  0.7323  0.0182  0.8897
O  0.8177  0.2889  0.7500
O  0.7279  0.7500  0.5000
O  0.2721  0.2500  0.0000
O  0.7323  0.4818  0.3897
O  0.8177  0.2111  0.2500
O  0.1823  0.7111  0.2500
O  0.2721  0.2500  0.5000
O  0.7323  0.0182  0.6103
O  0.2677  0.5182  0.6103

Summary:
Total magnetic moment (μB per cell): 24.00
Crystal system: orthorhombic
Space-group type: Pbcm

b.
The following is a PBE+U calculation of a relaxed structure of ZnCr2O4, from the Materials Project.

Cell lengths 6.0561, 6.0561, 6.0561 Å; angles 59.39, 59.39, 59.39 degrees
Fractional coordinates of all 14 atoms:
Zn  0.0033  0.0033  0.0033
Zn  0.6266  0.6266  0.6266
Cr  0.2455  0.2455  0.2455
Cr  0.6257  0.6257  0.1215
Cr  0.1215  0.6257  0.6257
Cr  0.6257  0.1215  0.6257
O  0.3751  0.8525  0.3751
O  0.8525  0.3751  0.3751
O  0.3751  0.3751  0.8525
O  0.3858  0.3858  0.3858
O  0.8643  0.8643  0.8643
O  0.8708  0.8708  0.4071
O  0.4071  0.8708  0.8708
O  0.8708  0.4071  0.8708

Summary:
Total magnetic moment (μB per cell): 12.00
Crystal system: trigonal
Space-group type: R3m

Which structure above is the least stable? It is a.